{
  "formula": "Cd2H2SO6",
  "functional": "GGA-PBE",
  "state": "optimized geometry",
  "lattice": [[-1.5676, -6.6895, 1.8282], [5.6005, -4.3414, -0.5792], [2.5102, -1.6011, 5.9123]],
  "species": ["O", "O", "O", "O", "O", "O", "O", "O", "O", "O", "O", "O", "H", "H", "H", "H", "Cd", "Cd", "Cd", "Cd", "S", "S"],
  "frac_coords": [[0.6855, 0.5295, 0.0955], [0.3145, 0.4705, 0.9045], [0.4705, 0.3145, 0.4045], [0.9451, 0.6794, 0.3073], [0.6794, 0.9451, 0.8073], [0.0549, 0.3206, 0.6927], [0.1636, 0.7541, 0.6093], [0.7541, 0.1636, 0.1093], [0.5295, 0.6855, 0.5955], [0.3206, 0.0549, 0.1927], [0.8364, 0.2459, 0.3907], [0.2459, 0.8364, 0.8907], [0.9569, 0.2360, 0.7911], [0.7640, 0.0431, 0.7089], [0.2360, 0.9569, 0.2911], [0.0431, 0.7640, 0.2089], [0.8460, 0.6530, 0.6897], [0.6530, 0.8460, 0.1897], [0.3470, 0.1540, 0.8103], [0.1540, 0.3470, 0.3103], [0.6886, 0.3114, 0.2500], [0.3114, 0.6886, 0.7500]],
  "space_group": "No. 15",
  "delta_e_f_mev_per_atom": -1634,
  "total_energy_ev_per_cell": -112.617,
  "volume_a3_per_atom": 12.57
}